<a>
Computed, not measured: crystalline NaInBP2HO9 at its relaxed geometry at the GGA-PBE level of DFT.

Cell: 5.2616 17.0035 9.1437 Å, 90.00 120.47 90.00°
Closest atoms and distances in Å follow each position.
Space group P2_1/c (No. 14)
Asymmetric unit:
1 Na 0.0190 0.1603 0.1602 [4 per cell]  5 O 2.45-2.69
2 In 0.4661 0.6597 0.7943 [4 per cell]  6 O 2.15-2.27
3 B 0.3549 0.5251 0.2469 [4 per cell]  4 O 1.47-1.49
4 P 0.2188 0.6676 0.0748 [4 per cell]  4 O 1.54-1.60
5 P 0.2649 0.0879 0.9349 [4 per cell]  4 O 1.51-1.58
6 H 0.2906 0.0245 0.5284 [4 per cell]  1 O 0.98
7 O 0.0121 0.6347 0.6143 [4 per cell]  1 P 1.51
8 O 0.0742 0.1979 0.5747 [4 per cell]  1 P 1.54
9 O 0.1463 0.5851 0.1284 [4 per cell]  1 B 1.49, 1 P 1.60
10 O 0.1891 0.0131 0.8188 [4 per cell]  1 B 1.48, 1 P 1.57
11 O 0.3349 0.7197 0.2342 [4 per cell]  1 P 1.54
12 O 0.3662 0.0596 0.1208 [4 per cell]  1 B 1.47, 1 P 1.58
13 O 0.4324 0.0300 0.6495 [4 per cell]  1 H 0.98
14 O 0.4598 0.6570 0.0272 [4 per cell]  1 P 1.55
15 O 0.4889 0.6350 0.5675 [4 per cell]  1 P 1.53

Calculated values
**Crystal system**: monoclinic

***

<b>
Computed, not measured: crystalline NaInBP2HO9 at its relaxed geometry at the GGA-PBE level of DFT.

Cell: 5.2578 17.0677 9.2395 Å, 90.00 121.27 90.00°
Closest atoms and distances in Å follow each position.
Space group P2_1/c (No. 14)
Asymmetric unit:
1 Na 0.0168 0.1612 0.1613 [4 per cell]  7 O 2.51-2.81
2 In 0.4843 0.6558 0.8061 [4 per cell]  6 O 2.14-2.25
3 B 0.3412 0.5286 0.2511 [4 per cell]  4 O 1.46-1.49
4 P 0.2317 0.6700 0.0817 [4 per cell]  4 O 1.53-1.59
5 P 0.2556 0.0876 0.9270 [4 per cell]  4 O 1.51-1.58
6 H 0.4539 0.5033 0.0787 [4 per cell]  1 O 0.97
7 O 0.0253 0.6334 0.6242 [4 per cell]  1 P 1.51
8 O 0.0591 0.1996 0.5735 [4 per cell]  1 P 1.54
9 O 0.1474 0.5921 0.1412 [4 per cell]  1 B 1.47, 1 P 1.59
10 O 0.1714 0.0119 0.8132 [4 per cell]  1 B 1.46, 1 P 1.58
11 O 0.3552 0.7249 0.2350 [4 per cell]  1 P 1.53
12 O 0.3697 0.0612 0.1137 [4 per cell]  1 B 1.49, 1 P 1.57
13 O 0.4099 0.0269 0.6518 [4 per cell]  1 H 0.97
14 O 0.4741 0.6513 0.0377 [4 per cell]  1 P 1.56
15 O 0.4998 0.1333 0.9206 [4 per cell]  1 P 1.53

Calculated values
**Crystal system**: monoclinic

***

Most stable = <a>